## SmSi3Rh (PBE-GGA)

Data for a relaxed SmSi3Rh crystal.

a b c (Å): 4.2054 4.2054 5.7502
angles (deg): 111.45 111.45 90.00
Last column: nearest neighbours and their distance in Å.
Positions (direct):
Sm1 0.9990 0.9990 0.9981  12 Si 3.09-3.34, 5 Rh 3.34-3.40
Si1 0.4145 0.4145 0.8289  1 Rh 2.36, 4 Si 2.58
Si2 0.7633 0.2633 0.5266  2 Rh 2.36, 2 Si 2.58
Si3 0.2633 0.7633 0.5266  2 Rh 2.36, 2 Si 2.58
Rh1 0.6539 0.6539 0.3079  5 Si 2.36

Output
Energy = -0.4753 Ry/atom
Space-group type = I4mm, No. 107
ΔH_f (0 K) = -0.80 eV per atom



## TaSiRh (PBE-GGA)

Data for a relaxed TaSiRh crystal.

a b c (Å): 3.7693 6.4166 7.3505
angles (deg): 90.00 90.00 90.00
Last column: nearest neighbours and their distance in Å.
Positions (direct):
Ta1 0.2500 0.5257 0.6730  5 Si 2.68-2.74, 6 Rh 2.91-3.00
Ta2 0.7500 0.4743 0.3270  5 Si 2.68-2.74, 6 Rh 2.91-3.00
Ta3 0.2500 0.0257 0.8270  5 Si 2.68-2.74, 6 Rh 2.91-3.00
Ta4 0.7500 0.9743 0.1730  5 Si 2.68-2.74, 6 Rh 2.91-3.00
Si1 0.2500 0.2671 0.1246  4 Rh 2.41-2.47, 3 Ta 2.68
Si2 0.7500 0.7329 0.8754  4 Rh 2.41-2.47, 3 Ta 2.68
Si3 0.2500 0.7671 0.3754  4 Rh 2.41-2.47, 3 Ta 2.68
Si4 0.7500 0.2329 0.6246  4 Rh 2.41-2.47, 3 Ta 2.68
Rh1 0.7500 0.8550 0.5637  4 Si 2.41-2.47
Rh2 0.2500 0.1450 0.4363  4 Si 2.41-2.47
Rh3 0.7500 0.3550 0.9363  4 Si 2.41-2.47
Rh4 0.2500 0.6450 0.0637  4 Si 2.41-2.47

Output
Energy = -0.6649 Ry/atom
Space-group type = Pnma, No. 62
ΔH_f (0 K) = -0.83 eV per atom



## TbSiRh (PBE-GGA)

Data for a relaxed TbSiRh crystal.

a b c (Å): 4.0341 5.3374 10.2830
angles (deg): 90.00 90.00 90.00
Last column: nearest neighbours and their distance in Å.
Positions (direct):
Tb1 0.2500 0.7521 0.4623  5 Rh 2.93-3.08, 3 Si 3.18-3.22
Tb2 0.2500 0.2521 0.0377  5 Rh 2.93-3.08, 3 Si 3.18-3.22
Tb3 0.7500 0.2479 0.5377  5 Rh 2.93-3.08, 3 Si 3.18-3.22
Tb4 0.7500 0.7479 0.9623  5 Rh 2.93-3.08, 3 Si 3.18-3.22
Si1 0.2500 0.9969 0.7446  4 Rh 2.52-2.54, 2 Si 2.67
Si2 0.2500 0.4969 0.7554  4 Rh 2.52-2.54, 2 Si 2.67
Si3 0.7500 0.0031 0.2554  4 Rh 2.52-2.54, 2 Si 2.67
Si4 0.7500 0.5031 0.2446  4 Rh 2.52-2.54, 2 Si 2.67
Rh1 0.2500 0.2625 0.3230  4 Si 2.52-2.54
Rh2 0.2500 0.7625 0.1770  4 Si 2.52-2.54
Rh3 0.7500 0.7375 0.6770  4 Si 2.52-2.54
Rh4 0.7500 0.2375 0.8230  4 Si 2.52-2.54

Output
Magnetization = 0.000 μB per formula unit
Energy = -0.4897 Ry/atom
Space-group type = Pnma, No. 62
ΔH_f (0 K) = -0.85 eV per atom



## TbSiRh (PBE-GGA)

Data for a relaxed TbSiRh crystal.

a b c (Å): 5.4585 5.4585 5.1758
angles (deg): 90.00 90.00 134.63
Last column: nearest neighbours and their distance in Å.
Positions (direct):
Tb1 0.7133 0.2867 0.2500  5 Rh 2.88-3.01, 2 Si 3.16
Tb2 0.2867 0.7133 0.7500  5 Rh 2.88-3.01, 2 Si 3.16
Si1 0.0000 0.0000 0.5000  4 Rh 2.58, 2 Si 2.59
Si2 0.0000 0.0000 0.0000  4 Rh 2.58, 2 Si 2.59
Rh1 0.5725 0.4275 0.7500  4 Si 2.58, 1 Tb 2.88
Rh2 0.4275 0.5725 0.2500  4 Si 2.58, 1 Tb 2.88

Output
Magnetization = 0.000 μB per formula unit
Energy = -0.4888 Ry/atom
Space-group type = Cmcm, No. 63
ΔH_f (0 K) = -0.84 eV per atom



## TbSi2Rh3 (PBE-GGA)

Data for a relaxed TbSi2Rh3 crystal.

a b c (Å): 5.5324 5.5324 3.6849
angles (deg): 90.00 90.00 120.00
Last column: nearest neighbours and their distance in Å.
Positions (direct):
Tb1 0.0000 0.0000 0.0000  6 Si 3.19, 12 Rh 3.32
Si1 0.3333 0.6667 0.0000  6 Rh 2.44
Si2 0.6667 0.3333 0.0000  6 Rh 2.44
Rh1 0.0000 0.5000 0.5000  4 Si 2.44
Rh2 0.5000 0.5000 0.5000  4 Si 2.44
Rh3 0.5000 0.0000 0.5000  4 Si 2.44

Output
Energy = -0.5355 Ry/atom
Space-group type = P6/mmm, No. 191
ΔH_f (0 K) = -1.02 eV per atom



## ThSi3Rh (PBE-GGA)

Data for a relaxed ThSi3Rh crystal.

a b c (Å): 5.7155 5.7155 5.7155
angles (deg): 135.93 135.93 64.09
Last column: nearest neighbours and their distance in Å.
Positions (direct):
Th1 0.9996 0.9996 0.0000  12 Si 3.13-3.35, 5 Rh 3.33-3.39
Si1 0.4097 0.4097 0.0000  1 Rh 2.38, 4 Si 2.56
Si2 0.2646 0.7646 0.5000  2 Rh 2.39, 2 Si 2.56
Si3 0.7646 0.2646 0.5000  2 Rh 2.39, 2 Si 2.56
Rh1 0.6554 0.6554 0.0000  5 Si 2.38-2.39

Output
Energy = -0.5168 Ry/atom
Space-group type = I4mm, No. 107
ΔH_f (0 K) = -0.82 eV per atom



## ThSi2Rh2 (PBE-GGA)

Data for a relaxed ThSi2Rh2 crystal.

a b c (Å): 5.8674 5.8674 5.8674
angles (deg): 138.85 138.85 59.60
Last column: nearest neighbours and their distance in Å.
Positions (direct):
Th1 0.0000 0.0000 0.0000  8 Si 3.17, 8 Rh 3.28
Si1 0.3790 0.3790 0.0000  4 Rh 2.44, 1 Si 2.46
Si2 0.6210 0.6210 0.0000  4 Rh 2.44, 1 Si 2.46
Rh1 0.7500 0.2500 0.5000  4 Si 2.44
Rh2 0.2500 0.7500 0.5000  4 Si 2.44

Output
Energy = -0.5656 Ry/atom
Space-group type = I4/mmm, No. 139
ΔH_f (0 K) = -1.10 eV per atom



## Th2Si3Rh (PBE-GGA)

Data for a relaxed Th2Si3Rh crystal.

a b c (Å): 7.7220 7.7220 7.7220
angles (deg): 149.42 148.09 44.78
Last column: nearest neighbours and their distance in Å.
Positions (direct):
Th1 0.7524 0.2524 0.5000  8 Si 3.15-3.17, 4 Rh 3.19
Th2 0.9996 0.9996 0.0000  2 Rh 3.12, 10 Si 3.17-3.21
Si1 0.5839 0.5839 0.0000  1 Si 2.37, 2 Rh 2.42
Si2 0.3312 0.8312 0.5000  1 Rh 2.37, 2 Si 2.38
Si3 0.4177 0.4177 0.0000  3 Si 2.37-2.38
Rh1 0.1652 0.6652 0.5000  3 Si 2.37-2.42

Output
Energy = -0.5389 Ry/atom
Space-group type = Imm2, No. 44
ΔH_f (0 K) = -0.92 eV per atom



## TmSi2Rh2 (PBE-GGA)

Data for a relaxed TmSi2Rh2 crystal.

a b c (Å): 5.7302 5.7302 5.7302
angles (deg): 138.60 138.60 59.99
Last column: nearest neighbours and their distance in Å.
Positions (direct):
Tm1 0.0000 0.0000 0.0000  8 Si 3.11, 8 Rh 3.20
Si1 0.6207 0.6207 0.0000  1 Si 2.40, 4 Rh 2.40
Si2 0.3793 0.3793 0.0000  1 Si 2.40, 4 Rh 2.40
Rh1 0.7500 0.2500 0.5000  4 Si 2.40
Rh2 0.2500 0.7500 0.5000  4 Si 2.40

Output
Energy = -0.5233 Ry/atom
Space-group type = I4/mmm, No. 139
ΔH_f (0 K) = -1.11 eV per atom



## USiRh (PBE-GGA)

Data for a relaxed USiRh crystal.

a b c (Å): 3.8374 7.1103 7.4520
angles (deg): 90.00 90.00 90.00
Last column: nearest neighbours and their distance in Å.
Positions (direct):
U1 0.7500 0.6322 0.4985  2 U 2.69, 5 Si 2.90-2.96
U2 0.2500 0.3678 0.5015  2 U 2.69, 5 Si 2.90-2.96
U3 0.7500 0.8678 0.9985  2 U 2.69, 5 Si 2.90-2.96
U4 0.2500 0.1322 0.0015  2 U 2.69, 5 Si 2.90-2.96
Si1 0.7500 0.1280 0.6995  4 Rh 2.43-2.50
Si2 0.2500 0.8720 0.3005  4 Rh 2.43-2.50
Si3 0.7500 0.3720 0.1995  4 Rh 2.43-2.50
Si4 0.2500 0.6280 0.8005  4 Rh 2.43-2.50
Rh1 0.2500 0.5686 0.1307  4 Si 2.43-2.50
Rh2 0.7500 0.4314 0.8693  4 Si 2.43-2.50
Rh3 0.2500 0.9314 0.6307  4 Si 2.43-2.50
Rh4 0.7500 0.0686 0.3693  4 Si 2.43-2.50

Output
Energy = -0.6424 Ry/atom
Space-group type = Pnma, No. 62
ΔH_f (0 K) = -0.71 eV per atom